A relaxed structure of EuCrO3. Source: Materials Project, functional meta-GGA r2SCAN.

Lattice parameters (Å, degrees): 5.3957 7.6931 5.3951 90.00 90.00 90.00
Space group Pnma (No. 62)
Asymmetric unit:
Eu: 0.0313 0.2500 0.0036
Cr: 0.0000 0.0000 0.5000
O: 0.0119 0.7500 0.4335
O: 0.2088 0.5340 0.7911

The total DFT energy (no corrections) is -17.16 eV/atom. The volume is 223.9 Å³/cell. Its total magnetization is 1.80 μB per atom. Its crystal system is orthorhombic. The value obtained for the calculated formation energy is -275.6 kJ per mole of atoms.

A relaxed structure of Mn2O2F9. Source: Materials Project, functional meta-GGA r2SCAN.

Lattice parameters (Å, degrees): 17.3101 8.3436 9.0937 90.00 101.39 90.00
Space group C2/c (No. 15)
Asymmetric unit:
Mn: 0.0741 0.2478 0.0542
Mn: 0.1256 0.3669 0.4372
O: 0.1896 0.0481 0.7132
O: 0.1941 0.1220 0.8226
F: 0.0373 0.2505 0.4786
F: 0.0655 0.4439 0.9492
F: 0.0700 0.1483 0.8833
F: 0.0719 0.0670 0.1525
F: 0.0744 0.3671 0.2303
F: 0.1632 0.3753 0.6288
F: 0.1714 0.1863 0.4140
F: 0.1768 0.2537 0.0894
F: 0.2021 0.4847 0.3957

The total DFT energy (no corrections) is -7.35 eV/atom. The volume is 1287.5 Å³/cell. Its total magnetization is 0.54 μB per atom. Its crystal system is monoclinic. The value obtained for the calculated formation energy is -193.6 kJ per mole of atoms.

A relaxed structure of CoAuO2. Source: Materials Project, functional meta-GGA r2SCAN.

Lattice parameters (Å, degrees): 2.8845 2.8845 18.2625 90.00 90.00 120.00
Space group R-3m (No. 166, hexagonal axes)
Asymmetric unit:
Co: 0.0000 0.0000 0.0000
Au: 0.0000 0.0000 0.5000
O: 0.0000 0.0000 0.3854

The total DFT energy (no corrections) is -19.87 eV/atom. The volume is 131.6 Å³/cell. Its total magnetization is 0.00 μB per atom. Its crystal system is trigonal. The value obtained for the calculated formation energy is -90.0 kJ per mole of atoms.

A relaxed structure of Sm6Ti4Al43. Source: Materials Project, functional meta-GGA r2SCAN.

Lattice parameters (Å, degrees): 11.0412 11.0412 17.9098 90.00 90.00 120.00
Space group P6_3/mcm (No. 193)
Asymmetric unit:
Sm: 0.0000 0.4706 0.0963
Ti: 0.0000 0.0000 0.0000
Ti: 0.0000 0.2719 0.2500
Al: 0.0000 0.1460 0.7500
Al: 0.0000 0.1552 0.1169
Al: 0.0000 0.2505 0.5295
Al: 0.1527 0.5544 0.2500
Al: 0.1588 0.3924 0.6647
Al: 0.2475 0.4950 0.0000
Al: 0.3333 0.6667 0.1260

The total DFT energy (no corrections) is -10.17 eV/atom. The volume is 1890.8 Å³/cell. Its total magnetization is 0.00 μB per atom. Its crystal system is hexagonal. The value obtained for the calculated formation energy is -35.1 kJ per mole of atoms.

A relaxed structure of Nd3Ni. Source: Materials Project, functional meta-GGA r2SCAN.

Lattice parameters (Å, degrees): 6.9876 9.9823 6.5536 90.00 90.00 90.00
Space group Pnma (No. 62)
Asymmetric unit:
Nd: 0.0346 0.2500 0.1434
Nd: 0.1715 0.0672 0.6769
Ni: 0.1144 0.7500 0.4360

The total DFT energy (no corrections) is -25.22 eV/atom. The volume is 457.1 Å³/cell. Its total magnetization is 0.00 μB per atom. Its crystal system is orthorhombic. The value obtained for the calculated formation energy is -15.2 kJ per mole of atoms.

A relaxed structure of GaNi3. Source: Materials Project, functional meta-GGA r2SCAN.

Lattice parameters (Å, degrees): 3.6452 3.6452 6.6573 90.00 90.00 90.00
Space group I4/mmm (No. 139)
Asymmetric unit:
Ga: 0.0000 0.0000 0.0000
Ni: 0.0000 0.0000 0.5000
Ni: 0.0000 0.5000 0.2500

The total DFT energy (no corrections) is -12.09 eV/atom. The volume is 88.5 Å³/cell. Its total magnetization is 0.01 μB per atom. Its crystal system is tetragonal. The value obtained for the calculated formation energy is -23.7 kJ per mole of atoms.

A relaxed structure of Er4Ge6Ir7. Source: Materials Project, functional meta-GGA r2SCAN.

Lattice parameters (Å, degrees): 8.3124 8.3124 8.3124 90.00 90.00 90.00
Space group Im-3m (No. 229)
Asymmetric unit:
Er: 0.2500 0.2500 0.2500
Ge: 0.0000 0.0000 0.3179
Ir: 0.0000 0.0000 0.0000
Ir: 0.0000 0.2500 0.5000

The total DFT energy (no corrections) is -35.43 eV/atom. The volume is 574.4 Å³/cell. Its total magnetization is 0.00 μB per atom. Its crystal system is cubic. The value obtained for the calculated formation energy is -95.7 kJ per mole of atoms.

A relaxed structure of Mg2Co3O8. Source: Materials Project, functional meta-GGA r2SCAN.

Lattice parameters (Å, degrees): 5.6486 5.6486 9.2284 90.00 90.00 120.00
Space group P6_3mc (No. 186)
Asymmetric unit:
Mg: 0.3333 0.6667 0.0000
Mg: 0.3333 0.6667 0.4057
Co: 0.1642 0.3283 0.7252
O: 0.0000 0.0000 0.3323
O: 0.0375 0.5188 0.8401
O: 0.1582 0.3164 0.1272
O: 0.3333 0.6667 0.6178

The total DFT energy (no corrections) is -9.07 eV/atom. The volume is 255.0 Å³/cell. Its total magnetization is 0.23 μB per atom. Its crystal system is hexagonal. The value obtained for the calculated formation energy is -163.7 kJ per mole of atoms.

A relaxed structure of LiHfAu2. Source: Materials Project, functional meta-GGA r2SCAN.

Lattice parameters (Å, degrees): 6.5106 6.5106 6.5106 90.00 90.00 90.00
Space group Fm-3m (No. 225)
Asymmetric unit:
Li: 0.0000 0.0000 0.0000
Hf: 0.0000 0.0000 0.5000
Au: 0.2500 0.2500 0.2500

The total DFT energy (no corrections) is -37.75 eV/atom. The volume is 276.0 Å³/cell. Its total magnetization is 0.00 μB per atom. Its crystal system is cubic. The value obtained for the calculated formation energy is -55.1 kJ per mole of atoms.

A relaxed structure of NaTc12Br25. Source: Materials Project, functional meta-GGA r2SCAN.

Lattice parameters (Å, degrees): 9.6963 10.7367 11.4914 84.23 74.88 87.32
Space group P-1 (No. 2)
Asymmetric unit:
Na: 0.0000 0.0000 0.0000
Tc: 0.2537 0.1187 0.2786
Tc: 0.2698 0.2972 0.4234
Tc: 0.3258 0.2509 0.1233
Tc: 0.3449 0.4275 0.2653
Tc: 0.4333 0.7284 0.8079
Tc: 0.4919 0.1422 0.3504
Br: 0.0397 0.2167 0.4079
Br: 0.0960 0.9617 0.2317
Br: 0.1360 0.4121 0.5947
Br: 0.1445 0.4242 0.1660
Br: 0.1663 0.7465 0.8798
Br: 0.2275 0.2036 0.9493
Br: 0.2728 0.6451 0.3129
Br: 0.2966 0.9708 0.5934
Br: 0.4080 0.5308 0.7210
Br: 0.4410 0.8439 0.9814
Br: 0.4433 0.9537 0.2608
Br: 0.4719 0.2765 0.5183
Br: 0.5000 0.5000 0.0000

The total DFT energy (no corrections) is -17.63 eV/atom. The volume is 1148.8 Å³/cell. Its total magnetization is 0.00 μB per atom. Its crystal system is triclinic. The value obtained for the calculated formation energy is -58.9 kJ per mole of atoms.

A relaxed structure of V2ZnO4. Source: Materials Project, functional meta-GGA r2SCAN.

Lattice parameters (Å, degrees): 14.1047 2.8432 9.4468 90.00 129.71 90.00
Space group C2/m (No. 12)
Asymmetric unit:
V: 0.1389 0.0000 0.4637
V: 0.1517 0.5000 0.8135
Zn: 0.1107 0.0000 0.1166
O: 0.0354 0.0000 0.7293
O: 0.1394 0.5000 0.6002
O: 0.1702 0.5000 0.3457
O: 0.2122 0.5000 0.0744

The total DFT energy (no corrections) is -10.97 eV/atom. The volume is 291.5 Å³/cell. Its total magnetization is 0.44 μB per atom. Its crystal system is monoclinic. The value obtained for the calculated formation energy is -218.4 kJ per mole of atoms.

A relaxed structure of KAsO3. Source: Materials Project, functional meta-GGA r2SCAN.

Lattice parameters (Å, degrees): 4.5918 5.9137 12.9326 90.00 90.00 90.00
Space group P2_12_12_1 (No. 19)
Asymmetric unit:
K: 0.2167 0.1818 0.1415
As: 0.1676 0.8096 0.9219
O: 0.2082 0.2802 0.5460
O: 0.2273 0.0829 0.9086
O: 0.2363 0.6208 0.8314

The total DFT energy (no corrections) is -9.39 eV/atom. The volume is 351.2 Å³/cell. Its total magnetization is 0.00 μB per atom. Its crystal system is orthorhombic. The value obtained for the calculated formation energy is -160.1 kJ per mole of atoms.